# 1
A geometry-optimized LaCo3Ni2 structure, computed with PBE-GGA.

## Properties
For the volume, the calculation gives 86.83 Å³/f.u. As for the space-group type: P6/mmm. Its energy relative to the elements is -0.67 eV per formula unit.

Unit cell a=4.961 b=4.961 c=4.074 alpha=90.00 beta=90.00 gamma=120.00
Atoms (fractional coordinates):
Ni: 0.333 0.667 0.000
Ni: 0.667 0.333 0.000
Co: 0.500 0.500 0.500
Co: 0.000 0.500 0.500
Co: 0.500 0.000 0.500
La: 0.000 0.000 0.000

# 2
A geometry-optimized Rb3Co structure, computed with PBE-GGA.

## Properties
For the volume, the calculation gives 201.03 Å³/f.u. As for the space-group type: Fm-3m. Its energy relative to the elements is 3.40 eV per formula unit.

Unit cell a=6.575 b=6.575 c=6.575 alpha=60.00 beta=60.00 gamma=60.00
Atoms (fractional coordinates):
Co: 0.000 0.000 0.000
Rb: 0.250 0.250 0.250
Rb: 0.750 0.750 0.750
Rb: 0.500 0.500 0.500

# 3
A geometry-optimized Ca6Ag3Ge5 structure, computed with PBE-GGA.

## Properties
For the volume, the calculation gives 341.19 Å³/f.u. As for the space-group type: Cm. Its energy relative to the elements is -7.66 eV per formula unit.

Unit cell a=5.884 b=5.884 c=14.556 alpha=72.36 beta=72.36 gamma=45.80
Atoms (fractional coordinates):
Ca: 0.537 0.537 0.120
Ca: 0.398 0.398 0.423
Ca: 0.262 0.262 0.724
Ca: 0.462 0.462 0.883
Ca: 0.739 0.739 0.274
Ca: 0.602 0.602 0.576
Ge: 0.972 0.972 0.724
Ge: 0.895 0.895 0.573
Ge: 0.107 0.107 0.424
Ge: 0.862 0.862 0.044
Ge: 0.029 0.029 0.274
Ag: 0.119 0.119 0.958
Ag: 0.248 0.248 0.113
Ag: 0.767 0.767 0.889

# 4
A geometry-optimized NaO structure, computed with PBE-GGA.

## Properties
For the volume, the calculation gives 24.05 Å³/f.u. As for the space-group type: Pm-3m. Its energy relative to the elements is -2.13 eV per formula unit. The value obtained for the MP2020-corrected energy is -8.40 eV for the cell shown.

Unit cell a=2.887 b=2.887 c=2.887 alpha=90.00 beta=90.00 gamma=90.00
Atoms (fractional coordinates):
O: 0.500 0.500 0.500
Na: 0.000 0.000 0.000

# 5
A geometry-optimized ZrSO structure, computed with PBE-GGA.

## Properties
For the volume, the calculation gives 42.18 Å³/f.u. As for the space-group type: P4/nmm. Its energy relative to the elements is -8.47 eV per formula unit. The value obtained for the energy above the lowest structure with this stoichiometry is 26 meV/atom. The value obtained for the MP2020-corrected energy is -52.19 eV for the cell shown.

Unit cell a=3.627 b=3.627 c=6.412 alpha=90.00 beta=90.00 gamma=90.00
Atoms (fractional coordinates):
Zr: 0.500 0.000 0.198
Zr: 0.000 0.500 0.802
O: 0.000 0.000 0.000
O: 0.500 0.500 0.000
S: 0.000 0.500 0.373
S: 0.500 0.000 0.627

# 6
A geometry-optimized MgTi3O7 structure, computed with PBE-GGA.

## Properties
For the volume, the calculation gives 143.50 Å³/f.u. As for the space-group type: Pnma. Its energy relative to the elements is -36.75 eV per formula unit. The value obtained for the MP2020-corrected energy is -386.70 eV for the cell shown.

Unit cell a=5.439 b=10.145 c=10.402 alpha=90.00 beta=90.00 gamma=90.00
Atoms (fractional coordinates):
O: 0.277 0.465 0.098
O: 0.027 0.219 0.117
O: 0.450 0.787 0.878
O: 0.777 0.035 0.902
O: 0.777 0.035 0.598
O: 0.223 0.965 0.402
O: 0.973 0.781 0.617
O: 0.473 0.719 0.117
O: 0.550 0.213 0.378
O: 0.723 0.535 0.902
O: 0.527 0.281 0.883
O: 0.027 0.219 0.383
O: 0.450 0.787 0.622
O: 0.180 0.554 0.750
O: 0.550 0.213 0.122
O: 0.723 0.535 0.598
O: 0.473 0.719 0.383
O: 0.950 0.713 0.378
O: 0.527 0.281 0.617
O: 0.050 0.287 0.622
O: 0.223 0.965 0.098
O: 0.950 0.713 0.122
O: 0.820 0.446 0.250
O: 0.680 0.946 0.250
O: 0.277 0.465 0.402
O: 0.050 0.287 0.878
O: 0.320 0.054 0.750
O: 0.973 0.781 0.883
Ti: 0.300 0.221 0.750
Ti: 0.711 0.687 0.969
Ti: 0.700 0.779 0.250
Ti: 0.789 0.187 0.531
Ti: 0.200 0.721 0.750
Ti: 0.789 0.187 0.969
Ti: 0.211 0.813 0.469
Ti: 0.211 0.813 0.031
Ti: 0.289 0.313 0.469
Ti: 0.289 0.313 0.031
Ti: 0.800 0.279 0.250
Ti: 0.711 0.687 0.531
Mg: 0.373 0.061 0.250
Mg: 0.127 0.561 0.250
Mg: 0.873 0.439 0.750
Mg: 0.627 0.939 0.750